A relaxed structure of CeBiPt, computed with PBE.

Values from the calculation:
The calculation puts the calculated total energy at -6.23 eV/atom. As for the energy relative to the elements: -0.93 eV/atom.

Cell: 4.8609 4.8609 4.8609 Å, 60.00 60.00 60.00°
Fractional coordinates of all 3 atoms:
Ce (0.5000, 0.5000, 0.5000)
Bi (0.0000, 0.0000, 0.0000)
Pt (0.7500, 0.7500, 0.7500)